First-principles (PBE) data for a relaxed Cs2YSi4O10F crystal, as listed in the Materials Project database.

Results
- Energy relative to the elements: -59.57 eV per formula unit
- Size of the total moment: 0.0 μB per cell

Lattice parameters (Å, degrees): 22.689 8.994 12.151 90.00 90.00 90.00
Element x y z (fractional)
Cs 0.016 0.250 0.048
Cs 0.043 0.250 0.443
Cs 0.228 0.250 0.180
Cs 0.237 0.250 0.623
Cs 0.263 0.750 0.123
Cs 0.272 0.750 0.680
Cs 0.457 0.750 0.943
Cs 0.484 0.750 0.548
Cs 0.516 0.250 0.452
Cs 0.543 0.250 0.057
Cs 0.728 0.250 0.320
Cs 0.737 0.250 0.877
Cs 0.763 0.750 0.377
Cs 0.772 0.750 0.820
Cs 0.957 0.750 0.557
Cs 0.984 0.750 0.952
Y 0.151 0.000 0.903
Y 0.151 0.500 0.903
Y 0.349 0.000 0.403
Y 0.349 0.500 0.403
Y 0.651 0.000 0.597
Y 0.651 0.500 0.597
Y 0.849 0.000 0.097
Y 0.849 0.500 0.097
Si 0.020 0.072 0.750
Si 0.020 0.428 0.750
Si 0.112 0.569 0.196
Si 0.112 0.931 0.196
Si 0.117 0.571 0.623
Si 0.117 0.929 0.623
Si 0.190 0.569 0.411
Si 0.190 0.931 0.411
Si 0.310 0.069 0.911
Si 0.310 0.431 0.911
Si 0.383 0.071 0.123
Si 0.383 0.429 0.123
Si 0.388 0.069 0.696
Si 0.388 0.431 0.696
Si 0.480 0.572 0.250
Si 0.480 0.928 0.250
Si 0.520 0.072 0.750
Si 0.520 0.428 0.750
Si 0.612 0.569 0.304
Si 0.612 0.931 0.304
Si 0.617 0.571 0.877
Si 0.617 0.929 0.877
Si 0.690 0.569 0.089
Si 0.690 0.931 0.089
Si 0.810 0.069 0.589
Si 0.810 0.431 0.589
Si 0.883 0.071 0.377
Si 0.883 0.429 0.377
Si 0.888 0.069 0.804
Si 0.888 0.431 0.804
Si 0.980 0.572 0.250
Si 0.980 0.928 0.250
O 0.017 0.250 0.723
O 0.049 0.509 0.249
O 0.049 0.991 0.249
O 0.050 0.501 0.638
O 0.050 0.999 0.638
O 0.054 0.028 0.860
O 0.054 0.472 0.860
O 0.106 0.750 0.612
O 0.108 0.750 0.182
O 0.128 0.013 0.083
O 0.128 0.487 0.083
O 0.139 0.511 0.500
O 0.139 0.989 0.500
O 0.163 0.524 0.718
O 0.163 0.976 0.718
O 0.164 0.530 0.288
O 0.164 0.970 0.288
O 0.196 0.750 0.424
O 0.249 0.513 0.930
O 0.249 0.987 0.930
O 0.251 0.013 0.430
O 0.251 0.487 0.430
O 0.304 0.250 0.924
O 0.336 0.030 0.788
O 0.336 0.470 0.788
O 0.337 0.024 0.218
O 0.337 0.476 0.218
O 0.361 0.011 0.000
O 0.361 0.489 0.000
O 0.372 0.513 0.583
O 0.372 0.987 0.583
O 0.392 0.250 0.682
O 0.394 0.250 0.112
O 0.446 0.528 0.360
O 0.446 0.972 0.360
O 0.450 0.001 0.138
O 0.450 0.499 0.138
O 0.451 0.009 0.749
O 0.451 0.491 0.749
O 0.483 0.750 0.223
O 0.517 0.250 0.777
O 0.549 0.509 0.251
O 0.549 0.991 0.251
O 0.550 0.501 0.862
O 0.550 0.999 0.862
O 0.554 0.028 0.640
O 0.554 0.472 0.640
O 0.606 0.750 0.888
O 0.608 0.750 0.318
O 0.628 0.013 0.417
O 0.628 0.487 0.417
O 0.639 0.511 0.000
O 0.639 0.989 0.000
O 0.663 0.524 0.782
O 0.663 0.976 0.782
O 0.664 0.530 0.212
O 0.664 0.970 0.212
O 0.696 0.750 0.076
O 0.749 0.513 0.570
O 0.749 0.987 0.570
O 0.751 0.013 0.070
O 0.751 0.487 0.070
O 0.804 0.250 0.576
O 0.836 0.030 0.712
O 0.836 0.470 0.712
O 0.837 0.024 0.282
O 0.837 0.476 0.282
O 0.861 0.011 0.500
O 0.861 0.489 0.500
O 0.872 0.513 0.917
O 0.872 0.987 0.917
O 0.892 0.250 0.818
O 0.894 0.250 0.388
O 0.946 0.528 0.140
O 0.946 0.972 0.140
O 0.950 0.001 0.362
O 0.950 0.499 0.362
O 0.951 0.009 0.751
O 0.951 0.491 0.751
O 0.983 0.750 0.277
F 0.144 0.750 0.916
F 0.159 0.250 0.898
F 0.341 0.750 0.398
F 0.356 0.250 0.416
F 0.644 0.750 0.584
F 0.659 0.250 0.602
F 0.841 0.750 0.102
F 0.856 0.250 0.084

First-principles (PBE) data for a relaxed Cs2TeOF4 crystal, as listed in the Materials Project database.

Results
- Energy relative to the elements: -20.92 eV per formula unit
- Size of the total moment: 0.0 μB per cell

Lattice parameters (Å, degrees): 8.276 8.276 7.326 90.00 90.00 131.35
Element x y z (fractional)
Cs 0.064 0.936 0.750
Cs 0.256 0.744 0.250
Cs 0.744 0.256 0.750
Cs 0.936 0.064 0.250
Te 0.391 0.609 0.750
Te 0.609 0.391 0.250
O 0.270 0.730 0.750
O 0.730 0.270 0.250
F 0.168 0.386 0.550
F 0.168 0.386 0.950
F 0.386 0.168 0.050
F 0.386 0.168 0.450
F 0.614 0.832 0.550
F 0.614 0.832 0.950
F 0.832 0.614 0.050
F 0.832 0.614 0.450

First-principles (PBE) data for a relaxed CsTi2O3F3 crystal, as listed in the Materials Project database.

Results
- Energy relative to the elements: -31.10 eV per formula unit
- Size of the total moment: 0.0 μB per cell

Lattice parameters (Å, degrees): 7.452 7.394 7.234 61.24 60.44 58.32
Element x y z (fractional)
Cs 0.000 0.000 0.000
Cs 0.250 0.250 0.250
Ti 0.136 0.628 0.605
Ti 0.605 0.631 0.136
Ti 0.628 0.136 0.631
Ti 0.631 0.605 0.628
O 0.311 0.689 0.311
O 0.323 0.323 0.677
O 0.580 0.580 0.920
O 0.677 0.677 0.323
O 0.689 0.311 0.689
O 0.920 0.920 0.580
F 0.302 0.698 0.698
F 0.550 0.950 0.950
F 0.556 0.944 0.556
F 0.698 0.302 0.302
F 0.944 0.556 0.944
F 0.950 0.550 0.550

First-principles (PBE) data for a relaxed Cs2TiOF5 crystal, as listed in the Materials Project database.

Results
- Energy relative to the elements: -26.44 eV per formula unit
- Size of the total moment: 2.0 μB per cell

Lattice parameters (Å, degrees): 7.037 7.037 8.116 90.00 90.00 85.19
Element x y z (fractional)
Cs 0.010 0.406 0.250
Cs 0.406 0.010 0.750
Cs 0.594 0.990 0.250
Cs 0.990 0.594 0.750
Ti 0.500 0.500 0.000
Ti 0.500 0.500 0.500
O 0.023 0.977 0.250
O 0.977 0.023 0.750
F 0.305 0.695 0.502
F 0.305 0.695 0.998
F 0.319 0.319 0.000
F 0.319 0.319 0.500
F 0.499 0.501 0.750
F 0.501 0.499 0.250
F 0.681 0.681 0.000
F 0.681 0.681 0.500
F 0.695 0.305 0.002
F 0.695 0.305 0.498

Question: Among the records above, which one has the highest energy relative to the elements?
Answer: Cs2TeOF4

Question: Look up the size of the total moment of the second one.
Answer: 0.0 μB per cell

Question: Which value of size of the total moment does entry 1 give?
Answer: 0.0 μB per cell